Record 1
Below is a geometry-optimized AlNi2S4 structure, with properties calculated at the PBE-GGA level.

Computed properties:
raw total energy	-4.98	eV/atom
symmetry	Imma, No. 74

a b c (Å): 6.8070 6.8070 6.8070
angles (deg): 119.45 118.36 91.91
With the nearest neighbours (Å) after each atom.
Sites, in units of the cell vectors:
Al: 0.5000 0.0000 0.5000  6 S 2.41-2.45
Al: 0.0000 0.0000 0.0000  6 S 2.41-2.45
Ni: 0.5000 0.5000 0.5000  6 S 2.31-2.32
Ni: 0.5000 0.5000 0.0000  6 S 2.30-2.48
Ni: 0.5000 0.0000 0.0000  6 S 2.31-2.32
Ni: 0.0000 0.5000 0.5000  6 S 2.30-2.48
S: 0.7294 0.2579 0.4716  3 Ni 2.30-2.31, 1 Al 2.45
S: 0.7445 0.7521 0.5075  3 Ni 2.32-2.48, 2 Al 2.41
S: 0.2863 0.2579 0.0284  3 Ni 2.30-2.31, 1 Al 2.45
S: 0.2555 0.7630 0.0075  3 Ni 2.32-2.48, 2 Al 2.41
S: 0.7137 0.7421 0.9716  3 Ni 2.30-2.31, 1 Al 2.45
S: 0.2555 0.2479 0.4925  3 Ni 2.32-2.48, 2 Al 2.41
S: 0.7445 0.2370 0.9925  3 Ni 2.32-2.48, 2 Al 2.41
S: 0.2706 0.7421 0.5284  3 Ni 2.30-2.31, 1 Al 2.45



Record 2
Below is a geometry-optimized Sm3AlNiS7 structure, with properties calculated at the PBE-GGA level.

Computed properties:
raw total energy	-5.94	eV/atom
symmetry	P6_3, No. 173

a b c (Å): 9.7815 9.7815 6.1151
angles (deg): 90.00 90.00 120.00
With the nearest neighbours (Å) after each atom.
Sites, in units of the cell vectors:
Sm: 0.7719 0.1448 0.2354  7 S 2.79-2.96
Sm: 0.3729 0.2281 0.2354  7 S 2.79-2.96
Sm: 0.8552 0.6271 0.2354  7 S 2.79-2.96
Sm: 0.2281 0.8552 0.7354  7 S 2.79-2.96
Sm: 0.6271 0.7719 0.7354  7 S 2.79-2.96
Sm: 0.1448 0.3729 0.7354  7 S 2.79-2.96
Al: 0.6667 0.3333 0.6617  4 S 2.23-2.24
Al: 0.3333 0.6667 0.1617  4 S 2.23-2.24
Ni: 0.0000 0.0000 0.0314  6 S 2.40-2.56
Ni: 0.0000 0.0000 0.5314  6 S 2.40-2.56
S: 0.8624 0.0913 0.8027  2 Ni 2.40-2.56
S: 0.2290 0.1376 0.8027  2 Ni 2.40-2.56
S: 0.9087 0.7710 0.8027  2 Ni 2.40-2.56
S: 0.1376 0.9087 0.3027  2 Ni 2.40-2.56
S: 0.7710 0.8624 0.3027  2 Ni 2.40-2.56
S: 0.0913 0.2290 0.3027  2 Ni 2.40-2.56
S: 0.9057 0.4241 0.5102  1 Al 2.24
S: 0.5183 0.0943 0.5102  1 Al 2.24
S: 0.5759 0.4817 0.5102  1 Al 2.24
S: 0.0943 0.5759 0.0102  1 Al 2.24
S: 0.4817 0.9057 0.0102  1 Al 2.24
S: 0.4241 0.5183 0.0102  1 Al 2.24
S: 0.6667 0.3333 0.0259  1 Al 2.23
S: 0.3333 0.6667 0.5259  1 Al 2.23



Record 3
Below is a geometry-optimized Al4Ni15Sb structure, with properties calculated at the PBE-GGA level.

Computed properties:
raw total energy	-5.67	eV/atom
symmetry	P4/mmm, No. 123

a b c (Å): 3.5998 3.5998 17.8626
angles (deg): 90.00 90.00 90.00
With the nearest neighbours (Å) after each atom.
Sites, in units of the cell vectors:
Al: 0.0000 0.0000 0.2055  12 Ni 2.50-2.55
Al: 0.0000 0.0000 0.4008  12 Ni 2.51-2.55
Al: 0.0000 0.0000 0.5992  12 Ni 2.51-2.55
Al: 0.0000 0.0000 0.7945  12 Ni 2.50-2.55
Ni: 0.5000 0.5000 0.0000  4 Sb 2.55, 8 Ni 2.62
Ni: 0.5000 0.5000 0.2040  8 Ni 2.51-2.52, 4 Al 2.55
Ni: 0.5000 0.5000 0.4007  8 Ni 2.51-2.53, 4 Al 2.55
Ni: 0.5000 0.5000 0.5993  8 Ni 2.51-2.53, 4 Al 2.55
Ni: 0.5000 0.5000 0.7960  8 Ni 2.51-2.52, 4 Al 2.55
Ni: 0.5000 0.0000 0.1062  8 Ni 2.51-2.62, 2 Al 2.53, 2 Sb 2.62
Ni: 0.5000 0.0000 0.3026  4 Al 2.50-2.51, 8 Ni 2.51-2.55
Ni: 0.5000 0.0000 0.5000  4 Al 2.53, 8 Ni 2.53-2.55
Ni: 0.5000 0.0000 0.6974  4 Al 2.50-2.51, 8 Ni 2.51-2.55
Ni: 0.5000 0.0000 0.8938  8 Ni 2.51-2.62, 2 Al 2.53, 2 Sb 2.62
Ni: 0.0000 0.5000 0.1062  8 Ni 2.51-2.62, 2 Al 2.53, 2 Sb 2.62
Ni: 0.0000 0.5000 0.3026  4 Al 2.50-2.51, 8 Ni 2.51-2.55
Ni: 0.0000 0.5000 0.5000  4 Al 2.53, 8 Ni 2.53-2.55
Ni: 0.0000 0.5000 0.6974  4 Al 2.50-2.51, 8 Ni 2.51-2.55
Ni: 0.0000 0.5000 0.8938  8 Ni 2.51-2.62, 2 Al 2.53, 2 Sb 2.62
Sb: 0.0000 0.0000 0.0000  12 Ni 2.55-2.62



Record 4
Below is a geometry-optimized AlNi3Sb structure, with properties calculated at the PBE-GGA level.

Computed properties:
raw total energy	-5.26	eV/atom
symmetry	P-6m2, No. 187

a b c (Å): 4.1190 4.1190 4.9385
angles (deg): 90.00 90.00 119.99
With the nearest neighbours (Å) after each atom.
Sites, in units of the cell vectors:
Al: 0.6667 0.3333 0.2500  8 Ni 2.47-2.67
Ni: 0.0000 0.0000 0.4943  5 Ni 2.41-2.69, 3 Al 2.67, 3 Sb 2.69
Ni: 0.0000 0.0000 0.0057  5 Ni 2.41-2.69, 3 Al 2.67, 3 Sb 2.69
Ni: 0.6667 0.3333 0.7500  3 Sb 2.38, 2 Al 2.47
Sb: 0.3333 0.6667 0.7500  3 Ni 2.38



Question: raw total energy of number 3 (Al4Ni15Sb)?
Answer: -5.67 eV/atom



Question: Among the records above, which one has the highest raw total energy?
Answer: AlNi2S4



Question: Among the records above, which one has the highest raw total energy?
Answer: AlNi2S4



Question: Which of these has the highest raw total energy?
Answer: AlNi2S4